Record 1
The following is a PBE-GGA calculation of a relaxed Ni3Mo2P crystal, from Materials Project.

Computed properties:
energy relative to the elements: -301 meV per atom
total energy: -7.709 eV/atom

Cell lengths 4.7551, 4.7551, 7.3889 Å; angles 90.00, 90.00, 120.00 degrees
Closest atoms and distances in Å follow each position.
Space group P6_3/mmc (No. 194)
Asymmetric unit:
Ni  0.1679  0.3358  0.2500 [6 per cell]  2 P 2.31, 4 Ni 2.36-2.39
Mo  0.3333  0.6667  0.5642 [4 per cell]  9 Ni 2.69-2.75, 4 Mo 2.75-2.90, 3 P 2.79
P  0.0000  0.0000  0.0000 [2 per cell]  6 Ni 2.31



Record 2
The following is a PBE-GGA calculation of a relaxed NiMo2P crystal, from Materials Project.

Computed properties:
energy relative to the elements: -396 meV per atom
total energy: -8.618 eV/atom

Cell lengths 11.3436, 8.4968, 4.7887 Å; angles 90.00, 113.42, 90.00 degrees
Closest atoms and distances in Å follow each position.
Space group C2/m (No. 12)
Asymmetric unit:
Ni  0.1629  0.1505  0.4096 [8 per cell]  2 P 2.22-2.29, 1 Ni 2.48
Mo  0.0000  0.3413  0.0000 [4 per cell]  4 P 2.47-2.52, 2 Ni 2.65, 1 Mo 2.70
Mo  0.0774  0.0000  0.8551 [4 per cell]  3 P 2.63-2.65, 3 Mo 2.63-2.78, 4 Ni 2.75-2.81
Mo  0.1361  0.5000  0.6284 [4 per cell]  4 P 2.43-2.57, 2 Ni 2.68
Mo  0.2500  0.2500  0.0000 [4 per cell]  2 P 2.49, 4 Ni 2.66-2.73, 4 Mo 2.74-2.78
P  0.0000  0.2473  0.5000 [4 per cell]  2 Ni 2.22
P  0.1992  0.5000  0.1994 [4 per cell]  2 Ni 2.29, 6 Mo 2.43-2.54



Record 3
The following is a PBE-GGA calculation of a relaxed NiMoP2 crystal, from Materials Project.

Computed properties:
energy relative to the elements: -575 meV per atom
total energy: -7.439 eV/atom

Cell lengths 3.3469, 3.3469, 11.1920 Å; angles 90.00, 90.00, 120.00 degrees
Closest atoms and distances in Å follow each position.
Space group P6_3/mmc (No. 194)
Asymmetric unit:
Ni  0.0000  0.0000  0.0000 [2 per cell]  6 P 2.31
Mo  0.0000  0.0000  0.2500 [2 per cell]  6 P 2.47
P  0.3333  0.6667  0.1124 [4 per cell]  3 Ni 2.31, 3 Mo 2.47



Record 4
The following is a PBE-GGA calculation of a relaxed Ni6Mo2P3 crystal, from Materials Project.

Computed properties:
energy relative to the elements: -471 meV per atom
total energy: -7.072 eV/atom

Cell lengths 3.5275, 12.8489, 5.6748 Å; angles 90.00, 90.00, 90.00 degrees
Closest atoms and distances in Å follow each position.
Space group Pmmn (No. 59, origin choice 2)
Asymmetric unit:
Ni  0.2500  0.0400  0.1377 [4 per cell]  2 P 2.26, 3 Ni 2.50-2.51
Ni  0.2500  0.2500  0.2314 [2 per cell]  5 P 2.29-2.56
Ni  0.2500  0.6514  0.0481 [4 per cell]  3 P 2.17-2.28
Ni  0.2500  0.7500  0.4372 [2 per cell]  4 P 2.23-2.32
Mo  0.2500  0.0824  0.6162 [4 per cell]  4 P 2.45-2.52
P  0.2500  0.2500  0.8279 [2 per cell]  7 Ni 2.28-2.32, 2 Mo 2.47
P  0.2500  0.6120  0.6755 [4 per cell]  4 Ni 2.17-2.26



Record 5
The following is a PBE-GGA calculation of a relaxed NiMoP crystal, from Materials Project.

Computed properties:
energy relative to the elements: -558 meV per atom
total energy: -7.904 eV/atom

Cell lengths 5.8572, 5.8572, 3.7499 Å; angles 90.00, 90.00, 120.00 degrees
Closest atoms and distances in Å follow each position.
Space group P-62m (No. 189)
Asymmetric unit:
Ni  0.0000  0.7490  0.0000 [3 per cell]  4 P 2.23-2.38
Mo  0.0000  0.4138  0.5000 [3 per cell]  5 P 2.42-2.57
P  0.0000  0.0000  0.5000 [1 per cell]  6 Ni 2.38, 3 Mo 2.42
P  0.3333  0.6667  0.0000 [2 per cell]  3 Ni 2.23



Record 6
The following is a PBE-GGA calculation of a relaxed Re2NiMo2S8 crystal, from Materials Project.

Computed properties:
energy relative to the elements: -902 meV per atom
total energy: -7.166 eV/atom

Cell lengths 6.7730, 6.8847, 9.6475 Å; angles 90.00, 90.00, 90.00 degrees
Closest atoms and distances in Å follow each position.
Space group Imm2 (No. 44)
Asymmetric unit:
Re  0.2083  0.0000  0.0000 [4 per cell]  6 S 2.34-2.53
Ni  0.0000  0.0000  0.6046 [2 per cell]  4 S 2.23-2.26
Mo  0.0000  0.2070  0.2076 [4 per cell]  6 S 2.35-2.61
S  0.0000  0.2687  0.9675 [4 per cell]  2 Re 2.35, 1 Mo 2.36
S  0.0000  0.2732  0.4739 [4 per cell]  1 Ni 2.26, 2 Re 2.53
S  0.2272  0.5000  0.7388 [4 per cell]  1 Re 2.34, 2 Mo 2.35
S  0.2355  0.5000  0.2415 [4 per cell]  1 Ni 2.23



Record 7
The following is a PBE-GGA calculation of a relaxed Ni5Mo24Se32 crystal, from Materials Project.

Computed properties:
energy relative to the elements: -715 meV per atom
total energy: -7.042 eV/atom

Cell lengths 6.8319, 6.8387, 27.2458 Å; angles 91.61, 90.94, 90.78 degrees
Closest atoms and distances in Å follow each position.
Space group P1 (No. 1)
Asymmetric unit:
Ni  0.0000  0.0000  0.0000 [1 per cell]  4 Se 2.33-2.48, 1 Mo 2.57
Ni  0.0025  0.0033  0.7508 [1 per cell]  4 Se 2.33-2.49, 1 Mo 2.57
Ni  0.0967  0.5682  0.5857 [1 per cell]  4 Se 2.34-2.46, 1 Mo 2.56
Ni  0.2224  0.5745  0.4168 [1 per cell]  4 Se 2.34-2.47, 1 Mo 2.56
Ni  0.6556  0.2328  0.1409 [1 per cell]  4 Se 2.33-2.49, 1 Mo 2.56
Mo  0.3750  0.4888  0.5105 [1 per cell]  5 Se 2.54-2.73, 3 Mo 2.73-2.81, 1 Ni 2.82
Mo  0.3940  0.4888  0.2657 [1 per cell]  5 Se 2.58-2.75, 4 Mo 2.65-2.75
Mo  0.4000  0.4842  0.0137 [1 per cell]  5 Se 2.56-2.71, 4 Mo 2.69-2.80
Mo  0.4062  0.4848  0.7640 [1 per cell]  5 Se 2.56-2.70, 4 Mo 2.68-2.82
Mo  0.5705  0.6132  0.1830 [1 per cell]  5 Se 2.54-2.71, 4 Mo 2.72-2.82
Mo  0.5862  0.6042  0.9335 [1 per cell]  5 Se 2.54-2.72, 4 Mo 2.67-2.80
Mo  0.5891  0.6084  0.6840 [1 per cell]  5 Se 2.54-2.71, 4 Mo 2.68-2.82
Mo  0.5893  0.6265  0.4350 [1 per cell]  5 Se 2.55-2.74, 1 Ni 2.56, 4 Mo 2.65-2.85
Mo  0.5961  0.8391  0.2712 [1 per cell]  5 Se 2.56-2.72, 4 Mo 2.68-2.82
Mo  0.6064  0.8294  0.5224 [1 per cell]  5 Se 2.55-2.76, 4 Mo 2.65-2.81
Mo  0.6195  0.8336  0.0200 [1 per cell]  5 Se 2.55-2.68, 4 Mo 2.73-2.80
Mo  0.6248  0.8376  0.7714 [1 per cell]  5 Se 2.55-2.69, 4 Mo 2.73-2.82
Mo  0.7053  0.3022  0.2333 [1 per cell]  5 Se 2.56-2.76, 1 Ni 2.56, 4 Mo 2.65-2.78
Mo  0.7124  0.2897  0.9796 [1 per cell]  5 Se 2.54-2.71, 4 Mo 2.67-2.77
Mo  0.7132  0.3123  0.4801 [1 per cell]  5 Se 2.55-2.76, 4 Mo 2.65-2.80
Mo  0.7163  0.2902  0.7304 [1 per cell]  5 Se 2.54-2.69, 4 Mo 2.68-2.79
Mo  0.7305  0.5144  0.5672 [1 per cell]  5 Se 2.55-2.76, 1 Ni 2.56, 4 Mo 2.65-2.86
Mo  0.7361  0.5270  0.3187 [1 per cell]  5 Se 2.55-2.67, 4 Mo 2.65-2.76
Mo  0.7431  0.5062  0.0657 [1 per cell]  5 Se 2.59-2.73, 4 Mo 2.69-2.74, 1 Ni 2.88
Mo  0.7492  0.5063  0.8157 [1 per cell]  5 Se 2.56-2.74, 4 Mo 2.67-2.74
Mo  0.9159  0.6523  0.2399 [1 per cell]  5 Se 2.55-2.73, 4 Mo 2.65-2.81
Mo  0.9341  0.6313  0.9868 [1 per cell]  5 Se 2.56-2.75, 1 Ni 2.57, 4 Mo 2.69-2.77
Mo  0.9385  0.6346  0.7378 [1 per cell]  1 Ni 2.57, 5 Se 2.57-2.76, 4 Mo 2.67-2.79
Mo  0.9437  0.6532  0.4917 [1 per cell]  5 Se 2.54-2.71, 3 Mo 2.72-2.80, 1 Ni 2.83
Se  0.0283  0.3351  0.2821 [1 per cell]  4 Mo 2.56-2.75
Se  0.0365  0.3116  0.5283 [1 per cell]  1 Ni 2.34, 1 Mo 2.55
Se  0.0459  0.3222  0.0319 [1 per cell]  1 Ni 2.36, 2 Mo 2.59-2.60
Se  0.0522  0.3247  0.7822 [1 per cell]  1 Ni 2.35, 2 Mo 2.59
Se  0.2766  0.8051  0.2200 [1 per cell]  4 Mo 2.58-2.73
Se  0.2831  0.8302  0.4741 [1 per cell]  1 Ni 2.34, 1 Mo 2.55
Se  0.2862  0.8084  0.9725 [1 per cell]  1 Ni 2.48, 4 Mo 2.60-2.72
Se  0.2910  0.8114  0.7244 [1 per cell]  1 Ni 2.49, 4 Mo 2.60-2.71
Se  0.3630  0.3015  0.1818 [1 per cell]  1 Ni 2.35, 2 Mo 2.54-2.59
Se  0.3867  0.2795  0.4321 [1 per cell]  1 Ni 2.37, 2 Mo 2.54-2.57
Se  0.3888  0.2870  0.9320 [1 per cell]  3 Mo 2.54-2.57
Se  0.3943  0.2885  0.6826 [1 per cell]  3 Mo 2.54-2.56
Se  0.4086  0.6942  0.3466 [1 per cell]  1 Ni 2.47, 4 Mo 2.58-2.74
Se  0.4195  0.6921  0.5977 [1 per cell]  1 Ni 2.37, 2 Mo 2.60-2.62
Se  0.4240  0.6939  0.0931 [1 per cell]  4 Mo 2.56-2.71
Se  0.4324  0.6927  0.8443 [1 per cell]  4 Mo 2.58-2.72
Se  0.5249  0.2005  0.5584 [1 per cell]  4 Mo 2.55-2.76
Se  0.5297  0.1834  0.0600 [1 per cell]  1 Ni 2.37, 2 Mo 2.60-2.63
Se  0.5377  0.1994  0.3127 [1 per cell]  4 Mo 2.58-2.72
Se  0.5417  0.1920  0.8107 [1 per cell]  4 Mo 2.56-2.69
Se  0.7579  0.9472  0.1893 [1 per cell]  1 Ni 2.49, 4 Mo 2.60-2.71
Se  0.7733  0.9348  0.9365 [1 per cell]  1 Ni 2.33, 1 Mo 2.58
Se  0.7756  0.9391  0.6873 [1 per cell]  1 Ni 2.33, 1 Mo 2.58
Se  0.7929  0.9417  0.4440 [1 per cell]  4 Mo 2.55-2.76
Se  0.9010  0.4485  0.4054 [1 per cell]  1 Ni 2.36, 2 Mo 2.60-2.61
Se  0.9033  0.4285  0.9065 [1 per cell]  4 Mo 2.56-2.74
Se  0.9071  0.4609  0.1565 [1 per cell]  1 Ni 2.33, 1 Mo 2.59
Se  0.9138  0.4415  0.6555 [1 per cell]  1 Ni 2.46, 4 Mo 2.57-2.76
Se  0.9195  0.8537  0.3200 [1 per cell]  3 Mo 2.55-2.56
Se  0.9316  0.8379  0.0727 [1 per cell]  1 Ni 2.35, 2 Mo 2.55-2.59
Se  0.9329  0.8630  0.5701 [1 per cell]  1 Ni 2.36, 2 Mo 2.54-2.57
Se  0.9368  0.8393  0.8239 [1 per cell]  1 Ni 2.36, 2 Mo 2.55-2.60



Record 8
The following is a PBE-GGA calculation of a relaxed SiNiMo crystal, from Materials Project.

Computed properties:
energy relative to the elements: -348 meV per atom
total energy: -7.698 eV/atom

Cell lengths 7.7101, 4.8678, 8.0851 Å; angles 90.00, 90.00, 90.00 degrees
Closest atoms and distances in Å follow each position.
Space group Amm2 (No. 38)
Asymmetric unit:
Si  0.0000  0.2450  0.0000 [4 per cell]  2 Ni 2.35-2.37, 4 Si 2.39-2.56
Si  0.2691  0.0000  0.6033 [4 per cell]  4 Ni 2.27-2.38
Ni  0.0000  0.0000  0.7471 [2 per cell]  6 Si 2.35-2.38
Ni  0.5000  0.0000  0.4258 [2 per cell]  2 Si 2.29, 4 Ni 2.29-2.42
Ni  0.5000  0.2417  0.1822 [4 per cell]  2 Si 2.27, 4 Ni 2.29-2.51
Mo  0.1868  0.0000  0.2590 [4 per cell]  7 Si 2.72-2.86, 5 Ni 2.76-2.83, 4 Mo 2.78-2.97
Mo  0.3073  0.0000  0.9352 [4 per cell]  5 Si 2.70-2.80, 7 Ni 2.75-2.85, 4 Mo 2.78-2.97



Record 9
The following is a PBE-GGA calculation of a relaxed Si6NiMo9 crystal, from Materials Project.

Computed properties:
energy relative to the elements: -388 meV per atom
total energy: -8.885 eV/atom

Cell lengths 9.6013, 9.6013, 4.9311 Å; angles 90.00, 90.00, 90.00 degrees
Closest atoms and distances in Å follow each position.
Space group I-42m (No. 121)
Asymmetric unit:
Si  0.0000  0.5000  0.0000 [4 per cell]  2 Si 2.47, 8 Mo 2.59-2.60
Si  0.1605  0.1605  0.2285 [8 per cell]  1 Ni 2.45, 7 Mo 2.54-2.73
Ni  0.0000  0.0000  0.0000 [2 per cell]  4 Si 2.45, 2 Mo 2.47
Mo  0.0000  0.0000  0.5000 [2 per cell]  2 Ni 2.47, 4 Si 2.56
Mo  0.0779  0.2755  0.7486 [16 per cell]  5 Si 2.54-2.73, 1 Mo 2.68



Record 10
The following is a PBE-GGA calculation of a relaxed SiNi3Mo2 crystal, from Materials Project.

Computed properties:
energy relative to the elements: -335 meV per atom
relative energy among the computed polymorphs: 0.000 eV/f.u.
total energy: -7.744 eV/atom

Cell lengths 4.7454, 4.7454, 7.5335 Å; angles 90.00, 90.00, 120.00 degrees
Closest atoms and distances in Å follow each position.
Space group P6_3/mmc (No. 194)
Asymmetric unit:
Si  0.0000  0.0000  0.0000 [2 per cell]  6 Ni 2.34
Ni  0.1696  0.3392  0.2500 [6 per cell]  4 Ni 2.33-2.41, 2 Si 2.34
Mo  0.3333  0.6667  0.5638 [4 per cell]  9 Ni 2.72-2.76, 3 Si 2.78, 4 Mo 2.81-2.90



Record 11
The following is a PBE-GGA calculation of a relaxed SiNi3Mo2 crystal, from Materials Project.

Computed properties:
energy relative to the elements: -265 meV per atom
relative energy among the computed polymorphs: 0.421 eV/f.u.
total energy: -7.674 eV/atom

Cell lengths 7.5705, 4.7743, 8.1385 Å; angles 90.00, 90.00, 90.00 degrees
Closest atoms and distances in Å follow each position.
Space group Amm2 (No. 38)
Asymmetric unit:
Si  0.0000  0.2466  0.0000 [4 per cell]  4 Ni 2.25-2.47, 2 Si 2.35-2.42
Ni  0.0000  0.0000  0.7643 [2 per cell]  4 Si 2.25-2.47, 2 Ni 2.38
Ni  0.2410  0.0000  0.5758 [4 per cell]  2 Si 2.27, 4 Ni 2.37-2.42
Ni  0.5000  0.0000  0.4129 [2 per cell]  6 Ni 2.32-2.40
Ni  0.5000  0.2460  0.1673 [4 per cell]  6 Ni 2.32-2.42
Mo  0.1891  0.0000  0.2455 [4 per cell]  8 Ni 2.71-2.79, 4 Si 2.73-2.79, 4 Mo 2.84-2.93
Mo  0.3171  0.0000  0.9175 [4 per cell]  10 Ni 2.71-2.84, 2 Si 2.76, 4 Mo 2.77-2.93



Record 12
The following is a PBE-GGA calculation of a relaxed Si3NiMo12 crystal, from Materials Project.

Computed properties:
energy relative to the elements: -230 meV per atom
total energy: -9.743 eV/atom

Cell lengths 4.9234, 4.9246, 9.8550 Å; angles 90.00, 90.00, 90.00 degrees
Closest atoms and distances in Å follow each position.
Space group Pmmm (No. 47)
Asymmetric unit:
Si  0.0000  0.0000  0.0000 [1 per cell]  12 Mo 2.75-2.76
Si  0.5000  0.5000  0.2500 [2 per cell]  12 Mo 2.75-2.76
Ni  0.0000  0.0000  0.5000 [1 per cell]  12 Mo 2.75
Mo  0.0000  0.5000  0.1244 [2 per cell]  2 Mo 2.45-2.47
Mo  0.0000  0.5000  0.3746 [2 per cell]  2 Mo 2.47, 2 Si 2.75, 2 Ni 2.75
Mo  0.2503  0.0000  0.2505 [4 per cell]  2 Mo 2.46, 1 Ni 2.75, 2 Si 2.75
Mo  0.5000  0.2493  0.0000 [2 per cell]  2 Mo 2.45-2.47
Mo  0.5000  0.2502  0.5000 [2 per cell]  2 Mo 2.46, 2 Ni 2.75, 2 Si 2.75



Copy entry 5 word for word.
The following is a PBE-GGA calculation of a relaxed NiMoP crystal, from Materials Project.

Computed properties:
energy relative to the elements: -558 meV per atom
total energy: -7.904 eV/atom

Cell lengths 5.8572, 5.8572, 3.7499 Å; angles 90.00, 90.00, 120.00 degrees
Closest atoms and distances in Å follow each position.
Space group P-62m (No. 189)
Asymmetric unit:
Ni  0.0000  0.7490  0.0000 [3 per cell]  4 P 2.23-2.38
Mo  0.0000  0.4138  0.5000 [3 per cell]  5 P 2.42-2.57
P  0.0000  0.0000  0.5000 [1 per cell]  6 Ni 2.38, 3 Mo 2.42
P  0.3333  0.6667  0.0000 [2 per cell]  3 Ni 2.23



Please write out number 9 again, unchanged.
The following is a PBE-GGA calculation of a relaxed Si6NiMo9 crystal, from Materials Project.

Computed properties:
energy relative to the elements: -388 meV per atom
total energy: -8.885 eV/atom

Cell lengths 9.6013, 9.6013, 4.9311 Å; angles 90.00, 90.00, 90.00 degrees
Closest atoms and distances in Å follow each position.
Space group I-42m (No. 121)
Asymmetric unit:
Si  0.0000  0.5000  0.0000 [4 per cell]  2 Si 2.47, 8 Mo 2.59-2.60
Si  0.1605  0.1605  0.2285 [8 per cell]  1 Ni 2.45, 7 Mo 2.54-2.73
Ni  0.0000  0.0000  0.0000 [2 per cell]  4 Si 2.45, 2 Mo 2.47
Mo  0.0000  0.0000  0.5000 [2 per cell]  2 Ni 2.47, 4 Si 2.56
Mo  0.0779  0.2755  0.7486 [16 per cell]  5 Si 2.54-2.73, 1 Mo 2.68